VASP calculation (r²SCAN) on crystalline Ba2Cd2Sb3 at its relaxed geometry.

Calculated values
ΔE_f: -0.829 eV per atom
crystal system: monoclinic

Lattice parameters (Å, degrees): 9.4841 9.4841 13.5629 125.32 125.32 29.87
Closest atoms and distances in Å follow each position.
Fractional positions:
Ba  0.1018  0.1018  0.4442  7 Sb 3.58-3.77, 3 Cd 3.73-3.82
Ba  0.2358  0.2358  0.8373  6 Sb 3.50-3.55
Ba  0.7642  0.7642  0.1627  6 Sb 3.50-3.55
Ba  0.8982  0.8982  0.5558  7 Sb 3.58-3.77, 3 Cd 3.73-3.82
Cd  0.0913  0.0913  0.1540  4 Sb 2.91-3.06
Cd  0.4588  0.4588  0.1894  4 Sb 2.92-3.00
Cd  0.5412  0.5412  0.8106  4 Sb 2.92-3.00
Cd  0.9087  0.9087  0.8460  4 Sb 2.91-3.06
Sb  0.1115  0.1115  0.9570  4 Cd 2.91-3.06
Sb  0.3459  0.3459  0.6976  3 Cd 2.93
Sb  0.4200  0.4200  0.3751  1 Sb 2.86, 1 Cd 3.00
Sb  0.5800  0.5800  0.6249  1 Sb 2.86, 1 Cd 3.00
Sb  0.6541  0.6541  0.3024  3 Cd 2.93
Sb  0.8885  0.8885  0.0430  4 Cd 2.91-3.06


VASP calculation (r²SCAN) on crystalline Ba3Ce at its relaxed geometry.

Calculated values
ΔE_f: 0.251 eV per atom
crystal system: tetragonal

Lattice parameters (Å, degrees): 6.1463 6.1463 12.0176 90.00 90.00 90.00
Closest atoms and distances in Å follow each position.
Fractional positions:
Ba  0.0000  0.0000  0.0000  8 Ba 4.30, 4 Ce 4.35
Ba  0.0000  0.5000  0.2500  8 Ba 4.30-4.35, 4 Ce 4.30
Ba  0.0000  0.5000  0.7500  8 Ba 4.30-4.35, 4 Ce 4.30
Ba  0.5000  0.0000  0.2500  8 Ba 4.30-4.35, 4 Ce 4.30
Ba  0.5000  0.0000  0.7500  8 Ba 4.30-4.35, 4 Ce 4.30
Ba  0.5000  0.5000  0.5000  8 Ba 4.30, 4 Ce 4.35
Ce  0.0000  0.0000  0.5000  12 Ba 4.30-4.35
Ce  0.5000  0.5000  0.0000  12 Ba 4.30-4.35


VASP calculation (r²SCAN) on crystalline Ba2Ce3Si3O12F at its relaxed geometry.

Calculated values
ΔE_f: -3.505 eV per atom
crystal system: hexagonal

Lattice parameters (Å, degrees): 9.8846 9.8846 7.3717 90.00 90.00 120.00
Closest atoms and distances in Å follow each position.
Fractional positions:
Ba  0.3333  0.6667  0.0000  6 O 2.66-2.80
Ba  0.3333  0.6667  0.4937  6 O 2.67-2.81
Ba  0.6667  0.3333  0.5000  6 O 2.66-2.80
Ba  0.6667  0.3333  0.9937  6 O 2.67-2.81
Ce  0.0037  0.2538  0.7470  6 O 2.33-2.52, 1 F 2.49
Ce  0.2502  0.9963  0.7470  6 O 2.33-2.52, 1 F 2.49
Ce  0.2538  0.2502  0.2470  6 O 2.33-2.52, 1 F 2.49
Ce  0.7462  0.7498  0.7470  6 O 2.33-2.52, 1 F 2.49
Ce  0.7498  0.0037  0.2470  6 O 2.33-2.52, 1 F 2.49
Ce  0.9963  0.7462  0.2470  6 O 2.33-2.52, 1 F 2.49
Si  0.0175  0.3790  0.2470  4 O 1.62-1.65
Si  0.3615  0.9825  0.2470  4 O 1.62-1.65
Si  0.3790  0.3615  0.7470  4 O 1.62-1.65
Si  0.6210  0.6385  0.2470  4 O 1.62-1.65
Si  0.6385  0.0175  0.7470  4 O 1.62-1.65
Si  0.9825  0.6210  0.7470  4 O 1.62-1.65
O  0.0855  0.5678  0.2465  1 Si 1.64
O  0.0873  0.3300  0.0719  1 Si 1.65
O  0.0879  0.3309  0.4222  1 Si 1.65
O  0.1713  0.7175  0.7472  1 Si 1.62
O  0.2430  0.9121  0.4222  1 Si 1.65
O  0.2427  0.9127  0.0719  1 Si 1.65
O  0.2825  0.4538  0.7472  1 Si 1.62
O  0.3300  0.2427  0.5719  1 Si 1.65
O  0.3309  0.2430  0.9222  1 Si 1.65
O  0.4322  0.5177  0.2465  1 Si 1.64
O  0.4538  0.1713  0.2472  1 Si 1.62
O  0.4823  0.9145  0.2465  1 Si 1.64
O  0.5177  0.0855  0.7465  1 Si 1.64
O  0.5462  0.8287  0.7472  1 Si 1.62
O  0.5678  0.4823  0.7465  1 Si 1.64
O  0.6691  0.7570  0.4222  1 Si 1.65
O  0.6700  0.7573  0.0719  1 Si 1.65
O  0.7175  0.5462  0.2472  1 Si 1.62
O  0.7573  0.0873  0.5719  1 Si 1.65
O  0.7570  0.0879  0.9222  1 Si 1.65
O  0.8287  0.2825  0.2472  1 Si 1.62
O  0.9121  0.6691  0.9222  1 Si 1.65
O  0.9127  0.6700  0.5719  1 Si 1.65
O  0.9145  0.4322  0.7465  1 Si 1.64
F  0.0000  0.0000  0.2498  3 Ce 2.49
F  0.0000  0.0000  0.7498  3 Ce 2.49


VASP calculation (r²SCAN) on crystalline BaCeI4 at its relaxed geometry.

Calculated values
ΔE_f: -1.826 eV per atom
crystal system: triclinic

Lattice parameters (Å, degrees): 7.5067 9.0371 9.2461 113.76 107.61 102.02
Closest atoms and distances in Å follow each position.
Fractional positions:
Ba  0.1156  0.3654  0.2302  8 I 3.53-3.63
Ba  0.8844  0.6346  0.7698  8 I 3.53-3.63
Ce  0.2494  0.9995  0.4996  8 I 3.36-3.43, 2 Ce 3.75-3.76
Ce  0.7506  0.0005  0.5004  8 I 3.36-3.43, 2 Ce 3.75-3.76
I  0.1385  0.3588  0.6255  2 Ce 3.36-3.37, 2 Ba 3.53-3.63
I  0.1431  0.0583  0.8480  2 Ce 3.40-3.41, 2 Ba 3.57-3.61
I  0.2949  0.7109  0.1520  2 Ce 3.40-3.43, 2 Ba 3.57-3.61
I  0.4858  0.7657  0.6257  2 Ce 3.36-3.38, 2 Ba 3.53-3.63
I  0.5142  0.2343  0.3743  2 Ce 3.36-3.38, 2 Ba 3.53-3.63
I  0.7051  0.2891  0.8480  2 Ce 3.40-3.43, 2 Ba 3.57-3.61
I  0.8569  0.9417  0.1520  2 Ce 3.40-3.41, 2 Ba 3.57-3.61
I  0.8615  0.6412  0.3745  2 Ce 3.36-3.37, 2 Ba 3.53-3.63


VASP calculation (r²SCAN) on crystalline BaCeN2 at its relaxed geometry.

Calculated values
ΔE_f: -1.265 eV per atom
crystal system: hexagonal

Lattice parameters (Å, degrees): 3.6804 3.6804 12.6776 90.00 90.00 120.00
Closest atoms and distances in Å follow each position.
Fractional positions:
Ba  0.3333  0.6667  0.2500  6 N 2.89
Ba  0.6667  0.3333  0.7500  6 N 2.89
Ce  0.0000  0.0000  0.0000  6 N 2.45
Ce  0.0000  0.0000  0.5000  6 N 2.45
N  0.3333  0.6667  0.5959  3 Ce 2.45
N  0.3333  0.6667  0.9041  3 Ce 2.45
N  0.6667  0.3333  0.0959  3 Ce 2.45
N  0.6667  0.3333  0.4041  3 Ce 2.45


VASP calculation (r²SCAN) on crystalline BaSrCeTiO6 at its relaxed geometry.

Calculated values
ΔE_f: -3.383 eV per atom
crystal system: triclinic

Lattice parameters (Å, degrees): 5.8970 5.9141 8.3213 89.74 89.68 89.88
Closest atoms and distances in Å follow each position.
Fractional positions:
Ba  0.0091  0.0036  0.2506  9 O 2.73-3.00
Ba  0.9909  0.9964  0.7494  9 O 2.73-3.00
Sr  0.4823  0.5024  0.7518  6 O 2.61-2.87
Sr  0.5177  0.4976  0.2482  6 O 2.61-2.87
Ce  0.0000  0.5000  0.5000  6 O 2.23-2.24
Ce  0.5000  0.0000  0.0000  6 O 2.23-2.24
Ti  0.0000  0.5000  0.0000  6 O 1.97-1.99
Ti  0.5000  0.0000  0.5000  6 O 1.97-1.99
O  0.0289  0.4560  0.7654  1 Ti 1.98
O  0.2189  0.7512  0.9820  1 Ti 1.97
O  0.2515  0.7784  0.5210  1 Ti 1.97
O  0.2601  0.2897  0.0351  1 Ti 1.99
O  0.2836  0.2531  0.4629  1 Ti 1.99
O  0.4876  0.0614  0.7347  1 Ti 1.99
O  0.5124  0.9386  0.2653  1 Ti 1.99
O  0.7164  0.7469  0.5371  1 Ti 1.99
O  0.7399  0.7103  0.9649  1 Ti 1.99
O  0.7485  0.2216  0.4790  1 Ti 1.97
O  0.7811  0.2488  0.0180  1 Ti 1.97
O  0.9711  0.5440  0.2346  1 Ti 1.98


VASP calculation (r²SCAN) on crystalline Ba2DyCl7 at its relaxed geometry.

Calculated values
ΔE_f: -2.720 eV per atom
crystal system: monoclinic

Lattice parameters (Å, degrees): 6.8592 15.6305 10.5900 90.00 90.61 90.00
Closest atoms and distances in Å follow each position.
Fractional positions:
Ba  0.2351  0.0608  0.3235  9 Cl 3.10-3.36
Ba  0.2351  0.4392  0.8235  9 Cl 3.10-3.36
Ba  0.2353  0.7202  0.4511  9 Cl 3.10-3.33
Ba  0.2353  0.7798  0.9511  9 Cl 3.10-3.33
Ba  0.7647  0.2202  0.0489  9 Cl 3.10-3.33
Ba  0.7647  0.2798  0.5489  9 Cl 3.10-3.33
Ba  0.7649  0.5608  0.1765  9 Cl 3.10-3.36
Ba  0.7649  0.9392  0.6765  9 Cl 3.10-3.36
Dy  0.2824  0.1271  0.7816  7 Cl 2.67-2.79
Dy  0.2824  0.3729  0.2816  7 Cl 2.67-2.79
Dy  0.7176  0.6271  0.7184  7 Cl 2.67-2.79
Dy  0.7176  0.8729  0.2184  7 Cl 2.67-2.79
Cl  0.0117  0.2426  0.3018  1 Dy 2.77
Cl  0.0117  0.2574  0.8018  1 Dy 2.77
Cl  0.0131  0.1050  0.5856  1 Dy 2.79
Cl  0.0131  0.3950  0.0856  1 Dy 2.79
Cl  0.2052  0.5401  0.2875  1 Dy 2.67
Cl  0.2052  0.9599  0.7875  1 Dy 2.67
Cl  0.2088  0.1395  0.0285  1 Dy 2.68
Cl  0.2088  0.3605  0.5285  1 Dy 2.68
Cl  0.3712  0.5707  0.6236  1 Dy 2.72
Cl  0.3712  0.9293  0.1236  1 Dy 2.72
Cl  0.4995  0.2277  0.2948  1 Dy 2.72
Cl  0.4995  0.2723  0.7948  1 Dy 2.72
Cl  0.4992  0.6044  0.9290  1 Dy 2.72
Cl  0.4992  0.8956  0.4290  1 Dy 2.72
Cl  0.5008  0.1044  0.5710  1 Dy 2.72
Cl  0.5008  0.3956  0.0710  1 Dy 2.72
Cl  0.5005  0.7277  0.2052  1 Dy 2.72
Cl  0.5005  0.7723  0.7052  1 Dy 2.72
Cl  0.6288  0.0707  0.8764  1 Dy 2.72
Cl  0.6288  0.4293  0.3764  1 Dy 2.72
Cl  0.7912  0.6395  0.4715  1 Dy 2.68
Cl  0.7912  0.8605  0.9715  1 Dy 2.68
Cl  0.7948  0.0401  0.2125  1 Dy 2.67
Cl  0.7948  0.4599  0.7125  1 Dy 2.67
Cl  0.9869  0.6050  0.9144  1 Dy 2.79
Cl  0.9869  0.8950  0.4144  1 Dy 2.79
Cl  0.9883  0.7426  0.1982  1 Dy 2.77
Cl  0.9883  0.7574  0.6982  1 Dy 2.77


VASP calculation (r²SCAN) on crystalline Ba12Cl5F19 at its relaxed geometry.

Calculated values
ΔE_f: -3.861 eV per atom
crystal system: hexagonal

Lattice parameters (Å, degrees): 14.1483 14.1483 4.2803 90.00 90.00 120.00
Closest atoms and distances in Å follow each position.
Fractional positions:
Ba  0.0000  0.1780  0.0000  5 F 2.52-2.70
Ba  0.0000  0.6268  0.0000  7 F 2.67-2.74
Ba  0.1664  0.4755  0.5000  5 F 2.59-2.69
Ba  0.1780  0.0000  0.0000  5 F 2.52-2.70
Ba  0.3091  0.8336  0.5000  5 F 2.59-2.69
Ba  0.3732  0.3732  0.0000  7 F 2.67-2.74
Ba  0.4755  0.1664  0.5000  5 F 2.59-2.69
Ba  0.5245  0.6909  0.5000  5 F 2.59-2.69
Ba  0.6268  0.0000  0.0000  7 F 2.67-2.74
Ba  0.6909  0.5245  0.5000  5 F 2.59-2.69
Ba  0.8220  0.8220  0.0000  5 F 2.52-2.70
Ba  0.8336  0.3091  0.5000  5 F 2.59-2.69
Cl  0.0000  0.8114  0.5000  6 Ba 3.37-3.38, 10 F 3.42-3.68
Cl  0.1886  0.1886  0.5000  6 Ba 3.37-3.38, 10 F 3.42-3.68
Cl  0.3333  0.6667  0.0000  6 Ba 3.33, 9 F 3.49-3.57
Cl  0.6667  0.3333  0.0000  6 Ba 3.33, 9 F 3.49-3.57
Cl  0.8114  0.0000  0.5000  6 Ba 3.37-3.38, 10 F 3.42-3.68
F  0.0000  0.0000  0.0000  3 Ba 2.52
F  0.0000  0.2798  0.5000  4 Ba 2.58-2.59
F  0.0000  0.4381  0.0000  1 Ba 2.67
F  0.1255  0.6377  0.5000  4 Ba 2.63-2.74
F  0.1828  0.3756  0.0000  4 Ba 2.64-2.71
F  0.1928  0.8172  0.0000  4 Ba 2.64-2.71
F  0.2798  0.0000  0.5000  4 Ba 2.58-2.59
F  0.3623  0.4878  0.5000  4 Ba 2.63-2.74
F  0.3756  0.1828  0.0000  4 Ba 2.64-2.71
F  0.4381  0.0000  0.0000  1 Ba 2.67
F  0.4878  0.3623  0.5000  4 Ba 2.63-2.74
F  0.5122  0.8745  0.5000  4 Ba 2.63-2.74
F  0.5619  0.5619  0.0000  1 Ba 2.67
F  0.6244  0.8072  0.0000  4 Ba 2.64-2.71
F  0.6377  0.1255  0.5000  4 Ba 2.63-2.74
F  0.7202  0.7202  0.5000  4 Ba 2.58-2.59
F  0.8072  0.6244  0.0000  4 Ba 2.64-2.71
F  0.8172  0.1928  0.0000  4 Ba 2.64-2.71
F  0.8745  0.5122  0.5000  4 Ba 2.63-2.74


Question: Among the records above, which one has the highest ΔE_f?
Answer: Ba3Ce


Question: Which of these has the highest ΔE_f?
Answer: Ba3Ce


Question: Which value of ΔE_f does entry 3 give?
Answer: -3.505 eV per atom


Question: The lowest ΔE_f belongs to which entry?
Answer: Ba12Cl5F19